VASP calculation (PBE-GGA) on an optimized crystal structure of Li3Zn.

Calculated values
symmetry = Fm-3m (225)
DFT total energy = -29.6 eV/cell

Cell: 6.4244 6.4244 6.4244 Å, 90.00 90.00 90.00°
Closest atoms and distances in Å follow each position.
Positions (direct):
Li  0.0000  0.0000  0.0000  8 Li 2.78
Li  0.0000  0.5000  0.5000  8 Li 2.78
Li  0.2500  0.2500  0.2500  4 Li 2.78, 4 Zn 2.78
Li  0.2500  0.2500  0.7500  4 Li 2.78, 4 Zn 2.78
Li  0.2500  0.7500  0.2500  4 Li 2.78, 4 Zn 2.78
Li  0.2500  0.7500  0.7500  4 Li 2.78, 4 Zn 2.78
Li  0.5000  0.0000  0.5000  8 Li 2.78
Li  0.5000  0.5000  0.0000  8 Li 2.78
Li  0.7500  0.2500  0.2500  4 Li 2.78, 4 Zn 2.78
Li  0.7500  0.2500  0.7500  4 Li 2.78, 4 Zn 2.78
Li  0.7500  0.7500  0.2500  4 Li 2.78, 4 Zn 2.78
Li  0.7500  0.7500  0.7500  4 Li 2.78, 4 Zn 2.78
Zn  0.0000  0.0000  0.5000  8 Li 2.78
Zn  0.0000  0.5000  0.0000  8 Li 2.78
Zn  0.5000  0.0000  0.0000  8 Li 2.78
Zn  0.5000  0.5000  0.5000  8 Li 2.78

***

VASP calculation (PBE-GGA) on an optimized crystal structure of Li3Zn.

Calculated values
symmetry = P6_3/mmc (194)
DFT total energy = -14.8 eV/cell

Cell: 5.7719 5.7719 4.6677 Å, 90.00 90.00 120.00°
Closest atoms and distances in Å follow each position.
Positions (direct):
Li  0.1718  0.3437  0.2500  8 Li 2.80-2.98, 4 Zn 2.84-2.89
Li  0.1718  0.8282  0.2500  8 Li 2.80-2.98, 4 Zn 2.84-2.89
Li  0.3437  0.1718  0.7500  8 Li 2.80-2.98, 4 Zn 2.84-2.89
Li  0.6563  0.8282  0.2500  8 Li 2.80-2.98, 4 Zn 2.84-2.89
Li  0.8282  0.1718  0.7500  8 Li 2.80-2.98, 4 Zn 2.84-2.89
Li  0.8282  0.6563  0.7500  8 Li 2.80-2.98, 4 Zn 2.84-2.89
Zn  0.3333  0.6667  0.7500  12 Li 2.84-2.89
Zn  0.6667  0.3333  0.2500  12 Li 2.84-2.89

***

VASP calculation (PBE-GGA) on an optimized crystal structure of Lu.

Calculated values
symmetry = Im-3m (229)
DFT total energy = -8.8 eV/cell
energy above the lowest structure with this stoichiometry = 0.13 eV/f.u.

Cell: 3.9084 3.9084 3.9084 Å, 90.00 90.00 90.00°
Closest atoms and distances in Å follow each position.
Positions (direct):
Lu  0.0000  0.0000  0.0000  8 Lu 3.38
Lu  0.5000  0.5000  0.5000  8 Lu 3.38

***

VASP calculation (PBE-GGA) on an optimized crystal structure of Lu.

Calculated values
symmetry = P6_3/mmc (194)
DFT total energy = -9.0 eV/cell
energy above the lowest structure with this stoichiometry = 0.00 eV/f.u.

Cell: 3.5248 3.5248 5.4706 Å, 90.00 90.00 120.00°
Closest atoms and distances in Å follow each position.
Positions (direct):
Lu  0.3333  0.6667  0.2500  12 Lu 3.41-3.52
Lu  0.6667  0.3333  0.7500  12 Lu 3.41-3.52

***

Listing ΔE_f for the structures above in their given order: -104 -98 132 0 meV/atom.
Listing V for the structures above in their given order: 16.6 16.8 29.9 29.4 A^3/atom.